Entry 1:
Density functional theory data (PBE) for a relaxed CaB2O6 crystal.

Cell: 6.8969 12.5268 11.3660 Å, 90.00 120.11 90.00°
Space group P2_1/c (No. 14)
Symmetry-distinct sites (fractional):
Ca 0.0738 0.2421 0.2606 [4 per cell]
Ca 0.4115 0.0935 0.6407 [4 per cell]
B 0.0775 0.5138 0.8390 [4 per cell]
B 0.1822 0.6961 0.5817 [4 per cell]
B 0.3514 0.6529 0.0158 [4 per cell]
B 0.4655 0.6665 0.2657 [4 per cell]
O 0.0312 0.1599 0.9398 [4 per cell]
O 0.0350 0.0446 0.2162 [4 per cell]
O 0.0844 0.0856 0.4098 [4 per cell]
O 0.1215 0.0743 0.6994 [4 per cell]
O 0.1820 0.7359 0.9796 [4 per cell]
O 0.2841 0.5742 0.9070 [4 per cell]
O 0.2844 0.7474 0.7232 [4 per cell]
O 0.3157 0.6004 0.6199 [4 per cell]
O 0.3259 0.2236 0.1715 [4 per cell]
O 0.4208 0.5992 0.1485 [4 per cell]
O 0.4308 0.1984 0.4519 [4 per cell]
O 0.4516 0.6082 0.3702 [4 per cell]

Computed properties:
relative energy among the computed polymorphs	21	meV per atom
ΔE_f	-2089	meV/atom

---

Entry 2:
Density functional theory data (PBE) for a relaxed CaB8O15 crystal.

Cell: 7.3862 8.4119 9.9193 Å, 90.00 109.42 90.00°
Space group P2_1 (No. 4)
Symmetry-distinct sites (fractional):
Ca 0.0868 0.0000 0.2663 [2 per cell]
B 0.0082 0.3219 0.4845 [2 per cell]
B 0.0346 0.3323 0.0213 [2 per cell]
B 0.0896 0.0830 0.9062 [2 per cell]
B 0.0963 0.0826 0.6450 [2 per cell]
B 0.1231 0.3707 0.2813 [2 per cell]
B 0.3984 0.4865 0.7324 [2 per cell]
B 0.3988 0.0826 0.8561 [2 per cell]
B 0.4181 0.4658 0.4784 [2 per cell]
O 0.0022 0.2360 0.6005 [2 per cell]
O 0.0182 0.0105 0.7566 [2 per cell]
O 0.0196 0.2459 0.9003 [2 per cell]
O 0.0311 0.9859 0.0049 [2 per cell]
O 0.0623 0.9750 0.5237 [2 per cell]
O 0.0727 0.2634 0.3798 [2 per cell]
O 0.1035 0.2728 0.1567 [2 per cell]
O 0.2671 0.5132 0.7970 [2 per cell]
O 0.3018 0.0881 0.9529 [2 per cell]
O 0.3041 0.1050 0.7125 [2 per cell]
O 0.3186 0.4336 0.3409 [2 per cell]
O 0.3284 0.4629 0.5834 [2 per cell]
O 0.3929 0.0039 0.4624 [2 per cell]
O 0.4068 0.5580 0.0955 [2 per cell]
O 0.4067 0.9736 0.2116 [2 per cell]

Computed properties:
ΔE_f	-2521	meV/atom

---

Entry 3:
Density functional theory data (PBE) for a relaxed CaB2O10 crystal.

Cell: 15.8295 6.2142 8.8572 Å, 90.00 110.82 90.00°
Space group C2/c (No. 15)
Symmetry-distinct sites (fractional):
Ca 0.0000 0.0701 0.2500 [4 per cell]
B 0.0512 0.3459 0.9443 [8 per cell]
O 0.0140 0.2781 0.4883 [8 per cell]
O 0.0701 0.4359 0.4314 [8 per cell]
O 0.0902 0.1899 0.8938 [8 per cell]
O 0.1834 0.2373 0.2730 [8 per cell]
O 0.2395 0.1958 0.7016 [8 per cell]

Computed properties:
relative energy among the computed polymorphs	81	meV per atom
ΔE_f	-1333	meV/atom

---

Entry 4:
Density functional theory data (PBE) for a relaxed CaB6O10 crystal.

Cell: 9.9392 8.8196 9.1781 Å, 90.00 116.88 90.00°
Space group P2_1/c (No. 14)
Symmetry-distinct sites (fractional):
Ca 0.2220 0.1139 0.4632 [4 per cell]
B 0.0790 0.7329 0.3762 [4 per cell]
B 0.0827 0.0261 0.7638 [4 per cell]
B 0.2173 0.5295 0.5608 [4 per cell]
B 0.3261 0.5560 0.2552 [4 per cell]
B 0.4430 0.1197 0.2787 [4 per cell]
B 0.4973 0.2283 0.0575 [4 per cell]
O 0.0208 0.6308 0.2485 [4 per cell]
O 0.0475 0.6153 0.8503 [4 per cell]
O 0.1552 0.0771 0.9354 [4 per cell]
O 0.1689 0.6808 0.5323 [4 per cell]
O 0.1969 0.0298 0.6989 [4 per cell]
O 0.3197 0.0065 0.2168 [4 per cell]
O 0.3754 0.6396 0.3983 [4 per cell]
O 0.4057 0.5493 0.1659 [4 per cell]
O 0.4211 0.2305 0.1508 [4 per cell]
O 0.4300 0.1887 0.4178 [4 per cell]

Computed properties:
ΔE_f	-2971	meV/atom